A relaxed SrHoO3 crystal. Source: Materials Project, functional PBE.

a = 4.355 Å, b = 4.355 Å, c = 4.355 Å
α = 90.00°, β = 90.00°, γ = 90.00°
Element x y z (fractional)
Ho 0.500 0.500 0.500
O 0.000 0.500 0.500
O 0.500 0.500 0.000
O 0.500 0.000 0.500
Sr 0.000 0.000 0.000

Values from the calculation:
Formation energy ... -3058 meV per atom